# 1
Density functional theory data (GGA-PBE) for an optimized crystal structure of Na2CeCuCl6.

Cell lengths 7.389, 7.389, 7.389 Å; angles 60.00, 60.00, 60.00 degrees
Fractional coordinates of all 10 atoms:
Na  0.750  0.750  0.750
Na  0.250  0.250  0.250
Ce  0.000  0.000  0.000
Cu  0.500  0.500  0.500
Cl  0.739  0.261  0.261
Cl  0.261  0.261  0.739
Cl  0.261  0.739  0.739
Cl  0.261  0.739  0.261
Cl  0.739  0.261  0.739
Cl  0.739  0.739  0.261

* formation energy from the elements: -1.8818 eV per atom
* volume: 28.5 Å³ per atom
* uncorrected energy: -3.8902 eV per atom



# 2
Density functional theory data (GGA-PBE) for an optimized crystal structure of Rb2CeCuCl6.

Cell lengths 7.499, 7.499, 7.499 Å; angles 60.00, 60.00, 60.00 degrees
Fractional coordinates of all 10 atoms:
Rb  0.750  0.750  0.750
Rb  0.250  0.250  0.250
Ce  0.500  0.500  0.500
Cu  0.000  0.000  0.000
Cl  0.759  0.241  0.241
Cl  0.241  0.241  0.759
Cl  0.241  0.759  0.759
Cl  0.241  0.759  0.241
Cl  0.759  0.241  0.759
Cl  0.759  0.759  0.241

* formation energy from the elements: -2.1056 eV per atom
* volume: 29.8 Å³ per atom
* uncorrected energy: -4.0456 eV per atom



# 3
Density functional theory data (GGA-PBE) for an optimized crystal structure of Ce10Ga5Cl4.

Cell lengths 16.578, 16.578, 16.578 Å; angles 152.84, 152.84, 38.78 degrees
Fractional coordinates of all 38 atoms:
Ce  0.153  0.153  0.000
Ce  0.347  0.347  0.000
Ce  0.653  0.653  0.000
Ce  0.847  0.847  0.000
Ce  0.468  0.968  0.842
Ce  0.532  0.032  0.158
Ce  0.874  0.374  0.842
Ce  0.374  0.532  0.500
Ce  0.032  0.874  0.500
Ce  0.968  0.126  0.500
Ce  0.626  0.468  0.500
Ce  0.126  0.626  0.158
Ce  0.603  0.103  0.843
Ce  0.397  0.897  0.157
Ce  0.740  0.240  0.843
Ce  0.240  0.397  0.500
Ce  0.897  0.740  0.500
Ce  0.103  0.260  0.500
Ce  0.760  0.603  0.500
Ce  0.260  0.760  0.157
Ga  0.250  0.250  0.000
Ga  0.750  0.750  0.000
Ga  0.489  0.743  0.500
Ga  0.757  0.011  0.500
Ga  0.511  0.257  0.500
Ga  0.257  0.757  0.746
Ga  0.011  0.511  0.254
Ga  0.743  0.243  0.254
Ga  0.989  0.489  0.746
Ga  0.243  0.989  0.500
Cl  0.860  0.360  0.220
Cl  0.360  0.140  0.500
Cl  0.640  0.860  0.500
Cl  0.140  0.640  0.780
Cl  0.443  0.443  0.000
Cl  0.057  0.057  0.000
Cl  0.557  0.557  0.000
Cl  0.943  0.943  0.000

* formation energy from the elements: -0.9860 eV per atom
* volume: 24.9 Å³ per atom
* uncorrected energy: -5.1655 eV per atom



# 4
Density functional theory data (GGA-PBE) for an optimized crystal structure of K2CeCl5.

Cell lengths 8.175, 8.849, 13.168 Å; angles 90.00, 90.00, 90.00 degrees
Fractional coordinates of all 32 atoms:
K  0.532  0.500  0.826
K  0.468  0.500  0.174
K  0.032  0.500  0.674
K  0.468  0.000  0.174
K  0.968  0.500  0.326
K  0.532  0.000  0.826
K  0.968  0.000  0.326
K  0.032  0.000  0.674
Ce  0.574  0.750  0.504
Ce  0.426  0.250  0.496
Ce  0.074  0.250  0.996
Ce  0.926  0.750  0.004
Cl  0.825  0.750  0.798
Cl  0.175  0.250  0.202
Cl  0.325  0.250  0.702
Cl  0.675  0.750  0.298
Cl  0.360  0.750  0.670
Cl  0.640  0.250  0.330
Cl  0.860  0.250  0.830
Cl  0.140  0.750  0.170
Cl  0.920  0.750  0.511
Cl  0.080  0.250  0.489
Cl  0.420  0.250  0.989
Cl  0.580  0.750  0.011
Cl  0.656  0.040  0.585
Cl  0.344  0.960  0.415
Cl  0.156  0.960  0.915
Cl  0.344  0.540  0.415
Cl  0.844  0.040  0.085
Cl  0.656  0.460  0.585
Cl  0.844  0.460  0.085
Cl  0.156  0.540  0.915

* formation energy from the elements: -2.5260 eV per atom
* volume: 29.8 Å³ per atom
* uncorrected energy: -4.3168 eV per atom



# 5
Density functional theory data (GGA-PBE) for an optimized crystal structure of K2NaCeCl6.

Cell lengths 7.740, 7.740, 7.740 Å; angles 60.00, 60.00, 60.00 degrees
Fractional coordinates of all 10 atoms:
K  0.750  0.750  0.750
K  0.250  0.250  0.250
Na  0.500  0.500  0.500
Ce  0.000  0.000  0.000
Cl  0.750  0.250  0.250
Cl  0.250  0.250  0.750
Cl  0.250  0.750  0.750
Cl  0.250  0.750  0.250
Cl  0.750  0.250  0.750
Cl  0.750  0.750  0.250

* formation energy from the elements: -2.3822 eV per atom
* volume: 32.8 Å³ per atom
* uncorrected energy: -4.0706 eV per atom



# 6
Density functional theory data (GGA-PBE) for an optimized crystal structure of KCeCl4O4.

Cell lengths 6.231, 7.200, 9.986 Å; angles 90.00, 90.00, 90.00 degrees
Fractional coordinates of all 20 atoms:
K  0.106  0.000  0.000
K  0.894  0.500  0.500
Ce  0.491  0.000  0.500
Ce  0.509  0.500  0.000
Cl  0.595  0.166  0.134
Cl  0.595  0.834  0.866
Cl  0.405  0.334  0.634
Cl  0.405  0.666  0.366
Cl  0.132  0.125  0.337
Cl  0.132  0.875  0.663
Cl  0.868  0.375  0.837
Cl  0.868  0.625  0.163
O  0.176  0.468  0.107
O  0.176  0.532  0.893
O  0.824  0.032  0.607
O  0.824  0.968  0.393
O  0.619  0.216  0.366
O  0.619  0.784  0.634
O  0.381  0.284  0.866
O  0.381  0.716  0.134

* formation energy from the elements: -0.9295 eV per atom
* volume: 22.4 Å³ per atom
* uncorrected energy: -4.0777 eV per atom



# 7
Density functional theory data (GGA-PBE) for an optimized crystal structure of Na2LiCeCl6.

Cell lengths 7.421, 7.421, 7.421 Å; angles 60.00, 60.00, 60.00 degrees
Fractional coordinates of all 10 atoms:
Na  0.750  0.750  0.750
Na  0.250  0.250  0.250
Li  0.500  0.500  0.500
Ce  0.000  0.000  0.000
Cl  0.741  0.259  0.259
Cl  0.259  0.259  0.741
Cl  0.259  0.741  0.741
Cl  0.259  0.741  0.259
Cl  0.741  0.259  0.741
Cl  0.741  0.741  0.259

* formation energy from the elements: -2.1979 eV per atom
* volume: 28.9 Å³ per atom
* uncorrected energy: -3.9874 eV per atom



# 8
Density functional theory data (GGA-PBE) for an optimized crystal structure of Rb2LiCeCl6.

Cell lengths 7.549, 7.549, 7.549 Å; angles 60.00, 60.00, 60.00 degrees
Fractional coordinates of all 10 atoms:
Rb  0.750  0.750  0.750
Rb  0.250  0.250  0.250
Li  0.500  0.500  0.500
Ce  0.000  0.000  0.000
Cl  0.743  0.257  0.257
Cl  0.257  0.257  0.743
Cl  0.257  0.743  0.743
Cl  0.257  0.743  0.257
Cl  0.743  0.257  0.743
Cl  0.743  0.743  0.257

* formation energy from the elements: -2.4244 eV per atom
* volume: 30.4 Å³ per atom
* uncorrected energy: -4.1454 eV per atom



# 9
Density functional theory data (GGA-PBE) for an optimized crystal structure of Ce3NCl6.

Cell lengths 10.658, 11.258, 16.522 Å; angles 90.00, 90.00, 90.00 degrees
Fractional coordinates of all 80 atoms:
Ce  0.513  0.212  0.452
Ce  0.657  0.464  0.324
Ce  0.361  0.978  0.938
Ce  0.657  0.036  0.824
Ce  0.157  0.036  0.676
Ce  0.013  0.212  0.048
Ce  0.987  0.788  0.952
Ce  0.487  0.788  0.548
Ce  0.639  0.478  0.562
Ce  0.343  0.536  0.676
Ce  0.861  0.522  0.062
Ce  0.013  0.288  0.548
Ce  0.343  0.964  0.176
Ce  0.157  0.464  0.176
Ce  0.139  0.022  0.438
Ce  0.843  0.964  0.324
Ce  0.361  0.522  0.438
Ce  0.513  0.288  0.952
Ce  0.987  0.712  0.452
Ce  0.139  0.478  0.938
Ce  0.861  0.978  0.562
Ce  0.843  0.536  0.824
Ce  0.639  0.022  0.062
Ce  0.487  0.712  0.048
N  0.950  0.591  0.940
N  0.050  0.409  0.060
N  0.550  0.091  0.940
N  0.950  0.909  0.440
N  0.450  0.909  0.060
N  0.050  0.091  0.560
N  0.550  0.409  0.440
N  0.450  0.591  0.560
Cl  0.630  0.561  0.160
Cl  0.870  0.061  0.160
Cl  0.667  0.214  0.314
Cl  0.667  0.286  0.814
Cl  0.143  0.530  0.553
Cl  0.897  0.421  0.226
Cl  0.357  0.030  0.553
Cl  0.167  0.286  0.686
Cl  0.469  0.186  0.123
Cl  0.249  0.284  0.455
Cl  0.031  0.686  0.123
Cl  0.251  0.784  0.455
Cl  0.103  0.921  0.274
Cl  0.969  0.314  0.877
Cl  0.370  0.439  0.840
Cl  0.969  0.186  0.377
Cl  0.167  0.214  0.186
Cl  0.130  0.939  0.840
Cl  0.333  0.714  0.186
Cl  0.031  0.814  0.623
Cl  0.143  0.970  0.053
Cl  0.251  0.716  0.955
Cl  0.630  0.939  0.660
Cl  0.643  0.970  0.447
Cl  0.130  0.561  0.340
Cl  0.897  0.079  0.726
Cl  0.603  0.579  0.726
Cl  0.397  0.421  0.274
Cl  0.751  0.784  0.045
Cl  0.249  0.216  0.955
Cl  0.397  0.079  0.774
Cl  0.833  0.786  0.814
Cl  0.857  0.470  0.447
Cl  0.643  0.530  0.947
Cl  0.333  0.786  0.686
Cl  0.357  0.470  0.053
Cl  0.103  0.579  0.774
Cl  0.603  0.921  0.226
Cl  0.531  0.814  0.877
Cl  0.531  0.686  0.377
Cl  0.833  0.714  0.314
Cl  0.370  0.061  0.340
Cl  0.870  0.439  0.660
Cl  0.751  0.716  0.545
Cl  0.749  0.216  0.545
Cl  0.857  0.030  0.947
Cl  0.749  0.284  0.045
Cl  0.469  0.314  0.623

* formation energy from the elements: -2.4752 eV per atom
* volume: 24.8 Å³ per atom
* uncorrected energy: -5.8295 eV per atom



# 10
Density functional theory data (GGA-PBE) for an optimized crystal structure of Ce4Si4N7ClO3.

Cell lengths 9.791, 10.507, 10.869 Å; angles 90.00, 90.00, 90.00 degrees
Fractional coordinates of all 76 atoms:
Ce  0.064  0.196  0.671
Ce  0.095  0.550  0.420
Ce  0.158  0.683  0.063
Ce  0.218  0.967  0.303
Ce  0.282  0.467  0.697
Ce  0.342  0.183  0.937
Ce  0.405  0.050  0.580
Ce  0.436  0.696  0.329
Ce  0.564  0.804  0.829
Ce  0.595  0.450  0.080
Ce  0.658  0.317  0.437
Ce  0.718  0.033  0.197
Ce  0.782  0.533  0.803
Ce  0.842  0.817  0.563
Ce  0.905  0.950  0.920
Ce  0.936  0.304  0.171
Si  0.059  0.706  0.773
Si  0.051  0.425  0.925
Si  0.212  0.264  0.413
Si  0.240  0.412  0.175
Si  0.260  0.912  0.825
Si  0.288  0.764  0.587
Si  0.449  0.925  0.075
Si  0.441  0.206  0.227
Si  0.559  0.294  0.727
Si  0.551  0.575  0.575
Si  0.712  0.736  0.087
Si  0.740  0.588  0.325
Si  0.760  0.088  0.675
Si  0.788  0.236  0.913
Si  0.949  0.075  0.425
Si  0.941  0.794  0.273
N  0.048  0.561  0.841
N  0.125  0.698  0.624
N  0.115  0.453  0.070
N  0.130  0.815  0.878
N  0.116  0.128  0.447
N  0.142  0.354  0.295
N  0.199  0.361  0.541
N  0.301  0.861  0.459
N  0.358  0.854  0.705
N  0.384  0.628  0.553
N  0.370  0.315  0.122
N  0.385  0.953  0.930
N  0.375  0.198  0.376
N  0.452  0.061  0.159
N  0.548  0.439  0.659
N  0.625  0.302  0.876
N  0.615  0.547  0.430
N  0.630  0.185  0.622
N  0.616  0.872  0.053
N  0.642  0.646  0.205
N  0.699  0.639  0.959
N  0.801  0.139  0.041
N  0.858  0.146  0.795
N  0.884  0.372  0.947
N  0.870  0.685  0.378
N  0.885  0.047  0.570
N  0.875  0.802  0.124
N  0.952  0.939  0.341
Cl  0.111  0.087  0.076
Cl  0.389  0.587  0.924
Cl  0.611  0.913  0.424
Cl  0.889  0.413  0.576
O  0.105  0.742  0.263
O  0.152  0.322  0.848
O  0.194  0.051  0.779
O  0.306  0.551  0.221
O  0.348  0.822  0.152
O  0.395  0.242  0.737
O  0.605  0.258  0.237
O  0.652  0.678  0.652
O  0.694  0.949  0.721
O  0.806  0.449  0.279
O  0.848  0.178  0.348
O  0.895  0.758  0.763

* formation energy from the elements: -1.9222 eV per atom
* volume: 14.7 Å³ per atom
* uncorrected energy: -8.1549 eV per atom
* polymorph energy (0 for the lowest one): 43 meV per atom